Record 1
Compound: Li9Mn2Co5O16
Source: the Materials Project database
Functional: PBE+U
Structure: relaxed

Results
Total DFT energy (no corrections) in eV per atom: -5.80
ΔE_f in meV per atom: -1809

Cell lengths 2.942, 9.728, 10.123 Å; angles 85.61, 87.53, 83.50 degrees
Fractional coordinates of all 32 atoms:
Li (0.000, 0.000, 0.000)
Li (0.004, 0.999, 0.496)
Li (0.135, 0.742, 0.687)
Li (0.233, 0.506, 0.865)
Li (0.244, 0.505, 0.374)
Li (0.489, 0.998, 0.743)
Li (0.501, 0.997, 0.248)
Li (0.740, 0.510, 0.626)
Li (0.751, 0.497, 0.125)
Mn (0.617, 0.750, 0.930)
Mn (0.871, 0.252, 0.310)
Co (0.111, 0.753, 0.187)
Co (0.368, 0.253, 0.059)
Co (0.374, 0.248, 0.561)
Co (0.625, 0.752, 0.444)
Co (0.871, 0.250, 0.810)
O (0.045, 0.861, 0.339)
O (0.086, 0.860, 0.854)
O (0.147, 0.646, 0.027)
O (0.212, 0.636, 0.519)
O (0.275, 0.373, 0.216)
O (0.300, 0.364, 0.719)
O (0.443, 0.134, 0.900)
O (0.468, 0.133, 0.404)
O (0.527, 0.863, 0.091)
O (0.563, 0.865, 0.572)
O (0.686, 0.633, 0.794)
O (0.703, 0.644, 0.284)
O (0.802, 0.365, 0.971)
O (0.809, 0.364, 0.468)
O (0.939, 0.132, 0.652)
O (0.942, 0.137, 0.154)



Record 2
Compound: La4TiMn5Pb2O18
Source: the Materials Project database
Functional: PBE+U
Structure: relaxed

Results
Total DFT energy (no corrections) in eV per atom: -7.70
ΔE_f in meV per atom: -2724

Cell lengths 5.546, 5.622, 12.445 Å; angles 103.01, 102.21, 90.03 degrees
Fractional coordinates of all 30 atoms:
La (0.000, 0.000, 0.000)
La (0.166, 0.170, 0.331)
La (0.499, 0.503, 0.000)
La (0.832, 0.840, 0.670)
Ti (0.248, 0.754, 0.500)
Mn (0.082, 0.588, 0.166)
Mn (0.417, 0.920, 0.835)
Mn (0.583, 0.087, 0.167)
Mn (0.749, 0.254, 0.500)
Mn (0.917, 0.420, 0.833)
Pb (0.335, 0.339, 0.670)
Pb (0.664, 0.667, 0.330)
O (0.000, 0.560, 0.001)
O (0.031, 0.493, 0.516)
O (0.123, 0.703, 0.819)
O (0.171, 0.609, 0.336)
O (0.205, 0.205, 0.861)
O (0.292, 0.298, 0.145)
O (0.332, 0.880, 0.665)
O (0.358, 0.823, 0.178)
O (0.458, 0.020, 0.479)
O (0.498, 0.941, 0.998)
O (0.538, 0.546, 0.520)
O (0.639, 0.647, 0.821)
O (0.668, 0.217, 0.335)
O (0.706, 0.150, 0.855)
O (0.796, 0.348, 0.140)
O (0.830, 0.272, 0.665)
O (0.878, 0.882, 0.181)
O (0.974, 0.972, 0.485)



Record 3
Compound: MgFeHO2
Source: the Materials Project database
Functional: PBE+U
Structure: relaxed

Results
Total DFT energy (no corrections) in eV per atom: -5.37
ΔE_f in meV per atom: -1423

Cell lengths 5.537, 3.176, 7.140 Å; angles 90.00, 91.42, 90.00 degrees
Fractional coordinates of all 10 atoms:
Mg (0.000, 0.000, 0.000)
Mg (0.500, 0.500, 0.000)
Fe (0.166, 0.500, 0.658)
Fe (0.666, 0.000, 0.658)
H (0.498, 0.500, 0.386)
H (0.998, 0.000, 0.386)
O (0.326, 0.000, 0.854)
O (0.497, 0.500, 0.524)
O (0.826, 0.500, 0.854)
O (0.997, 0.000, 0.524)



Record 4
Compound: CrNiP2O8
Source: the Materials Project database
Functional: PBE+U
Structure: relaxed

Results
Total DFT energy (no corrections) in eV per atom: -6.88
ΔE_f in meV per atom: -2226

Cell lengths 8.387, 8.387, 8.387 Å; angles 61.99, 61.99, 61.99 degrees
Fractional coordinates of all 36 atoms:
Cr (0.000, 0.000, 0.000)
Cr (0.144, 0.144, 0.144)
Cr (0.501, 0.501, 0.501)
Ni (0.359, 0.359, 0.359)
Ni (0.643, 0.643, 0.643)
Ni (0.858, 0.858, 0.858)
P (0.049, 0.752, 0.454)
P (0.253, 0.548, 0.955)
P (0.454, 0.049, 0.752)
P (0.548, 0.955, 0.253)
P (0.752, 0.454, 0.049)
P (0.955, 0.253, 0.548)
O (0.005, 0.175, 0.390)
O (0.009, 0.831, 0.603)
O (0.069, 0.909, 0.246)
O (0.099, 0.751, 0.940)
O (0.105, 0.331, 0.509)
O (0.175, 0.390, 0.005)
O (0.246, 0.069, 0.909)
O (0.254, 0.602, 0.438)
O (0.331, 0.509, 0.105)
O (0.390, 0.005, 0.175)
O (0.402, 0.555, 0.752)
O (0.438, 0.254, 0.602)
O (0.486, 0.897, 0.682)
O (0.509, 0.105, 0.331)
O (0.555, 0.752, 0.402)
O (0.602, 0.438, 0.254)
O (0.603, 0.009, 0.831)
O (0.682, 0.486, 0.897)
O (0.751, 0.940, 0.099)
O (0.752, 0.402, 0.555)
O (0.831, 0.603, 0.009)
O (0.897, 0.682, 0.486)
O (0.909, 0.246, 0.069)
O (0.940, 0.099, 0.751)



Question: total DFT energy (no corrections) of number 3 (MgFeHO2)?
Answer: -5.37 eV per atom



Question: The lowest ΔE_f belongs to which entry?
Answer: La4TiMn5Pb2O18



Question: Which formula does entry 4 have?
Answer: CrNiP2O8



Question: Look up the total DFT energy (no corrections) of the first one.
Answer: -5.80 eV per atom